No. 1
Computed, not measured: an optimized crystal structure of BN at the r2SCAN level of DFT.

a = 2.502 Å, b = 2.502 Å, c = 6.855 Å
α = 90.00°, β = 90.00°, γ = 120.00°
Fractional positions:
B  0.000  0.000  0.250
B  0.000  0.000  0.750
N  0.333  0.667  0.250
N  0.667  0.333  0.750

## Properties
V = 18.58 Å³/f.u.
mass density = 2.22 g/cm³
calculated formation energy = -1.411 eV per atom
SG = P6_3/mmc, No. 194
uncorrected energy = -38.60 eV/cell
ΔE to the lowest computed polymorph = 0.002 eV/atom

No. 2
Computed, not measured: an optimized crystal structure of BN at the r2SCAN level of DFT.

a = 3.669 Å, b = 3.669 Å, c = 3.669 Å
α = 39.87°, β = 39.87°, γ = 39.87°
Fractional positions:
B  0.000  0.000  0.000
N  0.333  0.333  0.333

## Properties
V = 18.29 Å³/f.u.
mass density = 2.25 g/cm³
calculated formation energy = -1.413 eV per atom
SG = R3m, No. 160
uncorrected energy = -19.30 eV/cell
ΔE to the lowest computed polymorph = 0.000 eV/atom

No. 3
Computed, not measured: an optimized crystal structure of BN at the r2SCAN level of DFT.

a = 2.502 Å, b = 2.502 Å, c = 7.369 Å
α = 90.00°, β = 90.00°, γ = 120.00°
Fractional positions:
B  0.333  0.667  0.250
B  0.667  0.333  0.750
N  0.000  0.000  0.250
N  0.000  0.000  0.750

## Properties
V = 19.97 Å³/f.u.
mass density = 2.06 g/cm³
calculated formation energy = -1.405 eV per atom
SG = P6_3/mmc, No. 194
uncorrected energy = -38.57 eV/cell
ΔE to the lowest computed polymorph = 0.008 eV/atom

No. 4
Computed, not measured: an optimized crystal structure of BN at the r2SCAN level of DFT.

a = 4.112 Å, b = 2.502 Å, c = 3.713 Å
α = 80.29°, β = 36.85°, γ = 62.86°
Fractional positions:
B  0.000  0.000  0.000
N  0.667  0.667  0.333

## Properties
V = 18.95 Å³/f.u.
mass density = 2.17 g/cm³
calculated formation energy = -1.412 eV per atom
SG = Fmm2, No. 42
uncorrected energy = -19.30 eV/cell
ΔE to the lowest computed polymorph = 0.001 eV/atom

No. 5
Computed, not measured: an optimized crystal structure of BN at the r2SCAN level of DFT.

a = 2.502 Å, b = 2.502 Å, c = 6.766 Å
α = 90.00°, β = 90.00°, γ = 120.00°
Fractional positions:
B  0.000  0.000  0.000
B  0.333  0.667  0.500
N  0.333  0.667  0.000
N  0.667  0.333  0.500

## Properties
V = 18.34 Å³/f.u.
mass density = 2.25 g/cm³
calculated formation energy = -1.413 eV per atom
SG = P-6m2, No. 187
uncorrected energy = -38.60 eV/cell
ΔE to the lowest computed polymorph = 0.000 eV/atom

No. 6
Computed, not measured: an optimized crystal structure of NdBN2 at the r2SCAN level of DFT.

a = 7.379 Å, b = 7.379 Å, c = 7.379 Å
α = 110.63°, β = 110.63°, γ = 110.63°
Fractional positions:
Nd  0.204  0.750  0.296
Nd  0.250  0.704  0.796
Nd  0.296  0.204  0.750
Nd  0.704  0.796  0.250
Nd  0.750  0.296  0.204
Nd  0.796  0.250  0.704
B  0.131  0.250  0.369
B  0.250  0.369  0.131
B  0.369  0.131  0.250
B  0.631  0.869  0.750
B  0.750  0.631  0.869
B  0.869  0.750  0.631
N  0.009  0.250  0.491
N  0.128  0.372  0.250
N  0.250  0.128  0.372
N  0.250  0.491  0.009
N  0.372  0.250  0.128
N  0.491  0.009  0.250
N  0.509  0.991  0.750
N  0.628  0.750  0.872
N  0.750  0.509  0.991
N  0.750  0.872  0.628
N  0.872  0.628  0.750
N  0.991  0.750  0.509

## Properties
V = 49.22 Å³/f.u.
mass density = 6.18 g/cm³
calculated formation energy = -1.573 eV per atom
SG = R-3c, No. 167
uncorrected energy = -367.89 eV/cell